(1)
## Ba2MgMo4Se4O22 (PBE+U)

Data for crystalline Ba2MgMo4Se4O22 at its relaxed geometry.

```
Ba2MgMo4Se4O22
1.0
7.971 -0.235 0.117
-0.262 7.481 -3.715
0.131 -0.173 9.041
O Mo Se Ba Mg
22 4 4 2 1
Cartesian
1.076 6.240 3.233
5.286 3.303 3.079
1.592 0.269 4.631
1.208 1.022 2.116
5.298 6.087 3.331
6.729 5.924 -1.292
1.378 2.724 6.159
4.562 6.185 -3.071
5.429 0.851 2.179
2.991 2.228 0.345
7.256 0.352 6.207
3.122 0.898 7.058
1.461 3.781 2.313
4.314 4.529 -0.781
3.008 4.771 4.170
6.860 4.436 5.103
0.511 1.294 -0.642
4.446 3.186 5.906
7.125 2.576 1.294
2.877 6.869 -0.995
1.247 4.048 -0.566
5.155 6.852 0.834
5.126 4.445 4.809
4.995 6.163 -1.122
1.388 0.962 6.540
1.257 2.680 0.607
2.377 5.244 2.645
6.486 2.058 2.830
6.355 6.297 1.976
2.508 0.889 3.265
5.480 1.119 -0.556
0.944 5.906 -2.933
3.017 3.241 -1.610
```

Calculated values
Space-group type: Cm
Energy above the most stable polymorph in this dataset: 0.44 eV/f.u.
Total magnetization: 2.00 Bohr magnetons per cell
DFT formation energy: -1.951 eV/atom

(2)
## Ba2MgMo4Se4O22 (PBE+U)

Data for crystalline Ba2MgMo4Se4O22 at its relaxed geometry.

```
Ba2MgMo4Se4O22
1.0
8.236 0.028 -0.034
0.040 7.239 -3.524
-0.039 0.051 9.012
Se Mo O Ba Mg
4 4 22 2 1
Cartesian
6.631 2.257 2.653
2.458 0.906 3.371
2.620 5.201 2.765
6.619 6.505 2.163
5.436 4.612 4.888
5.393 6.312 -0.988
1.467 2.620 0.695
1.298 1.124 6.547
7.207 6.238 -1.185
5.468 6.344 3.427
0.870 4.047 -0.399
0.756 1.272 8.345
1.279 0.999 2.087
1.039 2.750 5.949
5.490 1.196 1.900
7.385 2.852 1.177
7.367 0.699 6.190
1.682 3.772 2.400
3.039 1.101 6.770
5.168 3.161 5.822
3.301 6.708 -0.743
5.618 3.621 3.009
1.444 0.222 4.598
5.572 7.148 0.925
7.164 4.856 5.082
4.850 5.947 6.111
5.335 4.527 -0.379
3.158 2.328 0.406
3.328 4.678 4.259
1.336 6.151 3.447
1.308 5.554 6.277
5.289 1.670 8.101
7.294 4.524 0.037
```

Calculated values
Space-group type: P1
Energy above the most stable polymorph in this dataset: 0.17 eV/f.u.
Total magnetization: 2.00 Bohr magnetons per cell
DFT formation energy: -1.959 eV/atom

(3)
## Ba2MgMo4Se4O22 (PBE+U)

Data for crystalline Ba2MgMo4Se4O22 at its relaxed geometry.

```
Ba2MgMo4Se4O22
1.0
7.854 0.152 -0.076
0.141 7.860 -3.903
-0.070 -0.446 8.968
O Se Mo Ba Mg
22 4 4 2 1
Cartesian
6.982 3.040 1.032
5.007 6.808 -3.381
6.996 6.425 -1.480
3.082 2.041 0.516
1.160 4.202 -0.318
4.625 5.175 -1.081
1.089 2.347 5.812
1.017 6.387 2.804
1.676 -0.087 4.415
3.011 0.376 7.030
6.926 4.616 4.743
0.946 1.181 2.184
3.148 7.464 -1.792
5.526 6.523 2.997
5.134 3.697 2.777
5.456 1.109 1.959
0.666 1.420 -0.705
4.554 3.543 5.498
3.078 5.493 4.104
6.911 0.570 5.922
5.205 7.436 0.442
1.747 3.843 2.466
6.496 6.852 1.637
6.425 2.391 2.519
2.339 0.883 3.174
2.410 5.419 2.443
1.335 2.710 0.630
5.217 4.763 4.416
1.265 0.690 6.428
5.287 6.774 -1.398
5.328 2.477 -1.230
1.376 5.310 -2.637
3.242 0.087 -0.043
```

Calculated values
Space-group type: Cm
Energy above the most stable polymorph in this dataset: 0.56 eV/f.u.
Total magnetization: 2.00 Bohr magnetons per cell
DFT formation energy: -1.947 eV/atom

(4)
## Ba2MgMo4Se4O22 (PBE+U)

Data for crystalline Ba2MgMo4Se4O22 at its relaxed geometry.

```
Ba2MgMo4Se4O22
1.0
8.121 0.024 0.022
0.012 7.179 -3.661
0.024 -0.018 9.214
O Se Mo Mg Ba
22 4 4 1 2
Cartesian
7.220 0.599 6.520
1.452 3.630 2.463
5.665 7.003 0.904
3.278 6.609 -0.639
0.821 2.730 6.175
5.747 3.509 3.064
4.693 5.820 -2.872
7.343 2.588 1.200
7.072 6.100 -1.481
3.118 2.474 0.537
7.048 5.058 5.048
3.232 4.496 4.272
5.248 6.248 3.352
3.131 1.051 6.747
5.124 2.977 5.831
1.343 0.341 4.617
1.106 4.071 -0.412
1.299 6.072 3.443
5.398 1.106 2.187
1.303 0.883 2.035
0.877 1.296 -0.621
5.145 4.518 -0.403
2.495 5.009 2.783
6.595 6.294 2.265
6.727 2.103 2.738
2.402 0.890 3.347
1.253 1.080 6.575
5.389 4.538 4.819
1.371 2.656 0.578
5.352 6.092 -1.152
4.518 1.200 5.433
1.294 5.444 6.336
5.381 1.864 -0.628
```

Calculated values
Space-group type: P1
Energy above the most stable polymorph in this dataset: 0.15 eV/f.u.
Total magnetization: 2.00 Bohr magnetons per cell
DFT formation energy: -1.960 eV/atom

(5)
## Ba2MgMo4Se4O22 (PBE+U)

Data for crystalline Ba2MgMo4Se4O22 at its relaxed geometry.

```
Ba2MgMo4Se4O22
1.0
8.145 0.016 -0.008
0.014 7.129 -3.440
-0.008 0.186 9.078
O Mo Se Ba Mg
22 4 4 2 1
Cartesian
7.277 0.709 6.121
0.857 3.000 5.610
2.956 2.382 0.357
7.205 5.307 5.175
1.471 5.977 3.786
6.500 3.505 3.411
5.456 6.955 0.938
4.668 5.881 -2.815
1.507 3.816 2.464
0.696 4.163 -0.292
2.873 1.446 6.685
3.211 6.512 -0.516
5.204 3.278 6.023
5.124 1.317 2.168
5.285 6.283 3.434
6.957 6.362 -1.305
7.288 2.338 1.187
3.489 4.309 4.110
0.615 1.598 8.167
1.344 1.035 2.173
1.429 0.298 4.665
5.189 4.438 -0.450
5.463 4.644 4.966
1.231 2.733 0.626
5.239 6.085 -1.012
1.154 1.412 6.410
2.524 0.913 3.421
6.495 6.375 2.195
2.677 5.134 2.852
6.674 1.837 2.714
5.243 1.608 -0.771
1.185 5.675 -2.330
0.209 4.173 4.018
```

Calculated values
Space-group type: P1
Energy above the most stable polymorph in this dataset: 0.06 eV/f.u.
Total magnetization: 2.00 Bohr magnetons per cell
DFT formation energy: -1.962 eV/atom

Copy entry 5 word for word.
## Ba2MgMo4Se4O22 (PBE+U)

Data for crystalline Ba2MgMo4Se4O22 at its relaxed geometry.

```
Ba2MgMo4Se4O22
1.0
8.145 0.016 -0.008
0.014 7.129 -3.440
-0.008 0.186 9.078
O Mo Se Ba Mg
22 4 4 2 1
Cartesian
7.277 0.709 6.121
0.857 3.000 5.610
2.956 2.382 0.357
7.205 5.307 5.175
1.471 5.977 3.786
6.500 3.505 3.411
5.456 6.955 0.938
4.668 5.881 -2.815
1.507 3.816 2.464
0.696 4.163 -0.292
2.873 1.446 6.685
3.211 6.512 -0.516
5.204 3.278 6.023
5.124 1.317 2.168
5.285 6.283 3.434
6.957 6.362 -1.305
7.288 2.338 1.187
3.489 4.309 4.110
0.615 1.598 8.167
1.344 1.035 2.173
1.429 0.298 4.665
5.189 4.438 -0.450
5.463 4.644 4.966
1.231 2.733 0.626
5.239 6.085 -1.012
1.154 1.412 6.410
2.524 0.913 3.421
6.495 6.375 2.195
2.677 5.134 2.852
6.674 1.837 2.714
5.243 1.608 -0.771
1.185 5.675 -2.330
0.209 4.173 4.018
```

Calculated values
Space-group type: P1
Energy above the most stable polymorph in this dataset: 0.06 eV/f.u.
Total magnetization: 2.00 Bohr magnetons per cell
DFT formation energy: -1.962 eV/atom

What did the fourth record say?
## Ba2MgMo4Se4O22 (PBE+U)

Data for crystalline Ba2MgMo4Se4O22 at its relaxed geometry.

```
Ba2MgMo4Se4O22
1.0
8.121 0.024 0.022
0.012 7.179 -3.661
0.024 -0.018 9.214
O Se Mo Mg Ba
22 4 4 1 2
Cartesian
7.220 0.599 6.520
1.452 3.630 2.463
5.665 7.003 0.904
3.278 6.609 -0.639
0.821 2.730 6.175
5.747 3.509 3.064
4.693 5.820 -2.872
7.343 2.588 1.200
7.072 6.100 -1.481
3.118 2.474 0.537
7.048 5.058 5.048
3.232 4.496 4.272
5.248 6.248 3.352
3.131 1.051 6.747
5.124 2.977 5.831
1.343 0.341 4.617
1.106 4.071 -0.412
1.299 6.072 3.443
5.398 1.106 2.187
1.303 0.883 2.035
0.877 1.296 -0.621
5.145 4.518 -0.403
2.495 5.009 2.783
6.595 6.294 2.265
6.727 2.103 2.738
2.402 0.890 3.347
1.253 1.080 6.575
5.389 4.538 4.819
1.371 2.656 0.578
5.352 6.092 -1.152
4.518 1.200 5.433
1.294 5.444 6.336
5.381 1.864 -0.628
```

Calculated values
Space-group type: P1
Energy above the most stable polymorph in this dataset: 0.15 eV/f.u.
Total magnetization: 2.00 Bohr magnetons per cell
DFT formation energy: -1.960 eV/atom

Q: Look up the total magnetization of the second one.
A: 2.00 Bohr magnetons per cell

Please write out number 3 again, unchanged.
## Ba2MgMo4Se4O22 (PBE+U)

Data for crystalline Ba2MgMo4Se4O22 at its relaxed geometry.

```
Ba2MgMo4Se4O22
1.0
7.854 0.152 -0.076
0.141 7.860 -3.903
-0.070 -0.446 8.968
O Se Mo Ba Mg
22 4 4 2 1
Cartesian
6.982 3.040 1.032
5.007 6.808 -3.381
6.996 6.425 -1.480
3.082 2.041 0.516
1.160 4.202 -0.318
4.625 5.175 -1.081
1.089 2.347 5.812
1.017 6.387 2.804
1.676 -0.087 4.415
3.011 0.376 7.030
6.926 4.616 4.743
0.946 1.181 2.184
3.148 7.464 -1.792
5.526 6.523 2.997
5.134 3.697 2.777
5.456 1.109 1.959
0.666 1.420 -0.705
4.554 3.543 5.498
3.078 5.493 4.104
6.911 0.570 5.922
5.205 7.436 0.442
1.747 3.843 2.466
6.496 6.852 1.637
6.425 2.391 2.519
2.339 0.883 3.174
2.410 5.419 2.443
1.335 2.710 0.630
5.217 4.763 4.416
1.265 0.690 6.428
5.287 6.774 -1.398
5.328 2.477 -1.230
1.376 5.310 -2.637
3.242 0.087 -0.043
```

Calculated values
Space-group type: Cm
Energy above the most stable polymorph in this dataset: 0.56 eV/f.u.
Total magnetization: 2.00 Bohr magnetons per cell
DFT formation energy: -1.947 eV/atom